(1)
## Li2FeF4 (GGA+U)

Data for a relaxed structure of Li2FeF4.

## Properties
The density comes out at 3.09 g cm⁻³. Its space-group type is Pbam (55). The volume is 11.19 Å³ per atom. Its formation energy is -2.89 eV per atom.

abc: 5.047 9.863 3.146
angles: 90.00 90.00 90.00
Element x y z (fractional)
Li (0.028, 0.205, 0.000)
Li (0.472, 0.705, 0.000)
Li (0.528, 0.295, 0.000)
Li (0.972, 0.795, 0.000)
Fe (0.000, 0.500, 0.500)
Fe (0.500, 0.000, 0.500)
F (0.201, 0.394, 0.000)
F (0.243, 0.158, 0.500)
F (0.257, 0.658, 0.500)
F (0.299, 0.894, 0.000)
F (0.701, 0.106, 0.000)
F (0.743, 0.342, 0.500)
F (0.757, 0.842, 0.500)
F (0.799, 0.606, 0.000)

---

(2)
## K2MgCo2O4 (GGA+U)

Data for a relaxed structure of K2MgCo2O4.

## Properties
The density comes out at 3.16 g cm⁻³. Its space-group type is Cm (8). The volume is 16.58 Å³ per atom. Its formation energy is -1.63 eV per atom.

abc: 7.078 7.078 7.082
angles: 114.48 114.48 27.72
Element x y z (fractional)
K (0.000, 0.000, 0.000)
K (0.500, 0.500, 0.494)
Mg (0.709, 0.709, 0.344)
Co (0.236, 0.236, 0.007)
Co (0.303, 0.303, 0.671)
O (0.156, 0.156, 0.419)
O (0.358, 0.358, 0.975)
O (0.669, 0.669, 0.037)
O (0.857, 0.857, 0.581)

---

(3)
## LiFeBO3 (GGA+U)

Data for a relaxed structure of LiFeBO3.

## Properties
The density comes out at 2.94 g cm⁻³. Its space-group type is P-1 (2). The volume is 11.44 Å³ per atom. Its formation energy is -2.25 eV per atom.

abc: 5.707 6.670 7.401
angles: 90.01 90.02 103.01
Element x y z (fractional)
Li (0.104, 0.246, 0.226)
Li (0.396, 0.254, 0.724)
Li (0.604, 0.746, 0.276)
Li (0.896, 0.754, 0.774)
Fe (0.231, 0.910, 0.488)
Fe (0.268, 0.589, 0.989)
Fe (0.732, 0.411, 0.011)
Fe (0.769, 0.090, 0.512)
B (0.066, 0.824, 0.172)
B (0.433, 0.676, 0.672)
B (0.567, 0.324, 0.328)
B (0.934, 0.176, 0.828)
O (0.033, 0.066, 0.701)
O (0.068, 0.289, 0.964)
O (0.193, 0.682, 0.684)
O (0.306, 0.817, 0.186)
O (0.430, 0.211, 0.463)
O (0.468, 0.435, 0.200)
O (0.532, 0.565, 0.800)
O (0.570, 0.789, 0.537)
O (0.694, 0.183, 0.814)
O (0.807, 0.318, 0.316)
O (0.932, 0.711, 0.036)
O (0.967, 0.934, 0.299)

---

(4)
## Li4Fe3Co5O16 (GGA+U)

Data for a relaxed structure of Li4Fe3Co5O16.

## Properties
The density comes out at 4.70 g cm⁻³. Its space-group type is P1 (1). The volume is 9.40 Å³ per atom. Its formation energy is -1.46 eV per atom.

abc: 5.749 5.756 9.178
angles: 90.71 90.03 119.87
Element x y z (fractional)
Li (0.000, 0.000, 0.000)
Li (0.003, 0.001, 0.498)
Li (0.341, 0.681, 0.597)
Li (0.676, 0.348, 0.103)
Fe (0.174, 0.347, 0.284)
Fe (0.345, 0.181, 0.783)
Fe (0.836, 0.180, 0.783)
Co (0.177, 0.839, 0.282)
Co (0.339, 0.681, 0.011)
Co (0.661, 0.838, 0.282)
Co (0.672, 0.348, 0.507)
Co (0.831, 0.662, 0.782)
O (0.054, 0.543, 0.149)
O (0.171, 0.833, 0.900)
O (0.175, 0.350, 0.900)
O (0.341, 0.176, 0.398)
O (0.353, 0.696, 0.387)
O (0.485, 0.972, 0.158)
O (0.496, 0.548, 0.149)
O (0.531, 0.061, 0.642)
O (0.536, 0.501, 0.647)
O (0.663, 0.833, 0.900)
O (0.676, 0.352, 0.893)
O (0.832, 0.170, 0.397)
O (0.835, 0.672, 0.392)
O (0.964, 0.500, 0.646)
O (0.992, 0.992, 0.191)
O (0.997, 0.994, 0.690)

---

(5)
## LiNiBO3 (GGA+U)

Data for a relaxed structure of LiNiBO3.

## Properties
The density comes out at 3.58 g cm⁻³. Its space-group type is P-6 (174). The volume is 9.61 Å³ per atom. Its formation energy is -2.22 eV per atom.

abc: 8.076 8.076 6.124
angles: 90.00 90.00 120.00
Element x y z (fractional)
Li (0.025, 0.726, 0.250)
Li (0.025, 0.726, 0.750)
Li (0.274, 0.299, 0.250)
Li (0.274, 0.299, 0.750)
Li (0.701, 0.975, 0.250)
Li (0.701, 0.975, 0.750)
Ni (0.381, 0.015, 0.000)
Ni (0.381, 0.016, 0.500)
Ni (0.635, 0.619, 0.000)
Ni (0.635, 0.619, 0.500)
Ni (0.984, 0.365, 0.500)
Ni (0.985, 0.365, 0.000)
B (0.000, 0.000, 0.000)
B (0.000, 0.000, 0.500)
B (0.333, 0.667, 0.251)
B (0.333, 0.667, 0.749)
B (0.667, 0.333, 0.250)
B (0.667, 0.333, 0.750)
O (0.097, 0.899, 0.000)
O (0.097, 0.899, 0.500)
O (0.101, 0.199, 0.000)
O (0.101, 0.199, 0.500)
O (0.136, 0.551, 0.250)
O (0.136, 0.551, 0.750)
O (0.415, 0.864, 0.250)
O (0.415, 0.864, 0.750)
O (0.449, 0.585, 0.250)
O (0.449, 0.585, 0.750)
O (0.468, 0.220, 0.250)
O (0.468, 0.220, 0.750)
O (0.751, 0.532, 0.250)
O (0.751, 0.532, 0.750)
O (0.780, 0.249, 0.250)
O (0.780, 0.249, 0.750)
O (0.801, 0.903, 0.000)
O (0.801, 0.903, 0.500)

---

(6)
## K2MgFe2O4 (GGA+U)

Data for a relaxed structure of K2MgFe2O4.

## Properties
The density comes out at 3.21 g cm⁻³. Its space-group type is C2/m (12). The volume is 15.98 Å³ per atom. Its formation energy is -1.38 eV per atom.

abc: 6.972 6.972 7.514
angles: 111.37 111.37 25.11
Element x y z (fractional)
K (0.239, 0.239, 0.281)
K (0.761, 0.761, 0.719)
Mg (0.000, 0.000, 0.000)
Fe (0.036, 0.036, 0.677)
Fe (0.964, 0.964, 0.323)
O (0.113, 0.113, 0.502)
O (0.431, 0.431, 0.099)
O (0.569, 0.569, 0.901)
O (0.887, 0.887, 0.498)

---

(7)
## MgMn6O10F2 (GGA+U)

Data for a relaxed structure of MgMn6O10F2.

## Properties
The density comes out at 4.35 g cm⁻³. Its space-group type is P1 (1). The volume is 11.10 Å³ per atom. Its formation energy is -2.09 eV per atom.

abc: 5.000 5.670 7.519
angles: 84.23 87.30 84.25
Element x y z (fractional)
Mg (0.000, 0.000, 0.000)
Mn (0.002, 0.387, 0.167)
Mn (0.500, 0.862, 0.170)
Mn (0.512, 0.197, 0.826)
Mn (0.521, 0.528, 0.500)
Mn (0.967, 0.625, 0.813)
Mn (0.982, 0.002, 0.487)
O (0.143, 0.654, 0.038)
O (0.308, 0.161, 0.060)
O (0.313, 0.475, 0.718)
O (0.319, 0.830, 0.403)
O (0.669, 0.883, 0.928)
O (0.692, 0.218, 0.589)
O (0.697, 0.569, 0.263)
O (0.795, 0.692, 0.593)
O (0.826, 0.349, 0.945)
O (0.858, 0.083, 0.252)
F (0.137, 0.968, 0.737)
F (0.210, 0.356, 0.387)

---

(8)
## YW2O4 (GGA+U)

Data for a relaxed structure of YW2O4.

## Properties
The density comes out at 8.51 g cm⁻³. Its space-group type is R-3m (166). The volume is 14.51 Å³ per atom. Its formation energy is -1.94 eV per atom.

abc: 6.505 6.505 6.505
angles: 61.95 61.95 61.95
Element x y z (fractional)
Y (0.121, 0.121, 0.121)
Y (0.879, 0.879, 0.879)
W (0.000, 0.500, 0.500)
W (0.500, 0.000, 0.500)
W (0.500, 0.500, 0.000)
W (0.500, 0.500, 0.500)
O (0.263, 0.263, 0.263)
O (0.264, 0.264, 0.712)
O (0.264, 0.712, 0.264)
O (0.288, 0.736, 0.736)
O (0.712, 0.264, 0.264)
O (0.736, 0.288, 0.736)
O (0.736, 0.736, 0.288)
O (0.737, 0.737, 0.737)